{"formula": "Fe2NiO4", "functional": "PBE with a Hubbard U", "state": "relaxed", "mass_density_g_cm3": 5.11, "formation_energy_ev_per_atom": -1.5087, "magmom_total_mub_per_fu": 8.00, "cell": [[0.000, 4.240, 4.240], [4.240, 0.000, 4.240], [4.240, 4.240, 0.000]], "species": ["Ni", "O", "O", "O", "Ni", "O", "O", "Fe", "O", "O", "Fe", "Fe", "Fe", "O"], "fractional_positions": [[0.500, 0.500, 0.500], [0.366, 0.902, 0.366], [0.902, 0.366, 0.366], [0.884, 0.348, 0.884], [0.750, 0.750, 0.750], [0.366, 0.366, 0.902], [0.348, 0.884, 0.884], [0.625, 0.125, 0.125], [0.884, 0.884, 0.884], [0.366, 0.366, 0.366], [0.125, 0.625, 0.125], [0.125, 0.125, 0.625], [0.125, 0.125, 0.125], [0.884, 0.884, 0.348]]}